(1)
DFT (PBE) results for a relaxed structure of Sm11Cd45.

Lattice parameters (Å, degrees): 22.0094 22.0094 22.0094 90.00 90.00 90.00
Last column: nearest neighbours and their distance in Å.
Space group F-43m (No. 216)
Asymmetric unit:
1 Sm 0.0000 0.0000 0.0000 (multiplicity 4)  14 Cd 3.17-3.44
2 Sm 0.0140 0.1736 0.8264 (multiplicity 48)  12 Cd 3.20-3.48
3 Sm 0.0933 0.0933 0.5933 (multiplicity 16)  16 Cd 3.31-3.56
4 Sm 0.1615 0.1615 0.3385 (multiplicity 16)  10 Cd 3.18-3.37
5 Sm 0.2500 0.2500 0.7500 (multiplicity 4)  16 Cd 3.29-3.41
6 Cd 0.0000 0.0000 0.1564 (multiplicity 24)  8 Cd 3.05-3.14
7 Cd 0.0000 0.0000 0.5000 (multiplicity 4)  12 Cd 3.40, 4 Sm 3.56
8 Cd 0.0124 0.1729 0.3271 (multiplicity 48)  4 Cd 2.85-2.99
9 Cd 0.0454 0.0454 0.3597 (multiplicity 48)  6 Cd 2.83-2.99
10 Cd 0.0630 0.0630 0.7374 (multiplicity 48)  9 Cd 3.05-3.35, 3 Sm 3.31
11 Cd 0.0832 0.0832 0.9168 (multiplicity 16)  4 Cd 3.05-3.07, 4 Sm 3.17-3.20
12 Cd 0.0840 0.0840 0.2358 (multiplicity 48)  8 Cd 2.98-3.32, 3 Sm 3.23-3.31
13 Cd 0.0879 0.0879 0.0879 (multiplicity 16)  7 Cd 3.12-3.26, 4 Sm 3.35-3.48
14 Cd 0.0890 0.2500 0.2500 (multiplicity 24)  4 Cd 2.93-3.06, 2 Sm 3.18
15 Cd 0.1093 0.2039 0.7039 (multiplicity 48)  4 Cd 2.85-2.95
16 Cd 0.1637 0.1637 0.8363 (multiplicity 16)  7 Cd 3.07-3.27, 4 Sm 3.29-3.31
17 Cd 0.1703 0.1703 0.1703 (multiplicity 16)  8 Cd 3.04-3.14
18 Cd 0.2500 0.2500 0.2500 (multiplicity 4)  4 Cd 3.04, 4 Sm 3.37

Computed properties:
E_form: -25.4 kJ/mol of atoms

***

(2)
DFT (PBE) results for a relaxed structure of TmInO3.

Lattice parameters (Å, degrees): 5.7878 8.2902 5.4600 90.00 90.00 90.00
Last column: nearest neighbours and their distance in Å.
Space group Pnma (No. 62)
Asymmetric unit:
1 Tm 0.0650 0.2500 0.0257 (multiplicity 4)  4 O 2.20-2.29
2 In 0.0000 0.0000 0.5000 (multiplicity 4)  6 O 2.14-2.28
3 O 0.0777 0.7500 0.3468 (multiplicity 4)  2 Tm 2.20-2.29, 2 In 2.28
4 O 0.1899 0.5806 0.8133 (multiplicity 8)  2 In 2.14-2.17, 1 Tm 2.22

Computed properties:
E_form: -285.5 kJ/mol of atoms

***

(3)
DFT (PBE) results for a relaxed structure of CeSe2.

Lattice parameters (Å, degrees): 30.5550 30.5550 11.4017 90.00 90.00 120.00
Last column: nearest neighbours and their distance in Å.
Space group R-3m (No. 166, hexagonal axes)
Asymmetric unit:
1 Ce 0.0084 0.4249 0.2263 (multiplicity 36)  4 Se 2.71-2.75
2 Se 0.0000 0.2361 0.5000 (multiplicity 18)  2 Ce 2.72
3 Se 0.0000 0.2807 0.0000 (multiplicity 18)  2 Ce 2.75
4 Se 0.0000 0.4466 0.0000 (multiplicity 18)  2 Ce 2.71
5 Se 0.0131 0.5066 0.3392 (multiplicity 18)  2 Ce 2.75

Computed properties:
E_form: -132.3 kJ/mol of atoms

***

(4)
DFT (PBE) results for a relaxed structure of Rb2UBr6.

Lattice parameters (Å, degrees): 7.9321 7.9321 11.2469 90.00 90.00 90.00
Last column: nearest neighbours and their distance in Å.
Space group P4/mnc (No. 128)
Asymmetric unit:
1 Rb 0.0000 0.5000 0.2500 (multiplicity 4)  8 Br 3.73-3.97
2 U 0.0000 0.0000 0.0000 (multiplicity 2)  6 Br 2.77-2.79
3 Br 0.0000 0.0000 0.2466 (multiplicity 4)  1 U 2.77
4 Br 0.2143 0.2785 0.0000 (multiplicity 8)  1 U 2.79

Computed properties:
E_form: -187.0 kJ/mol of atoms
energy above the most stable polymorph in this dataset: 0 meV/atom

***

(5)
DFT (PBE) results for a relaxed structure of LiCuPO4.

Lattice parameters (Å, degrees): 9.8299 4.9428 14.0034 90.00 90.00 90.00
Last column: nearest neighbours and their distance in Å.
Space group Pca2_1 (No. 29)
Asymmetric unit:
1 Li 0.0332 0.0525 0.0000 (multiplicity 4)  4 O 1.98-2.02
2 Li 0.2202 0.5614 0.2514 (multiplicity 4)  4 O 1.98-2.01
3 Cu 0.0256 0.9455 0.7481 (multiplicity 4)  4 O 1.96-2.04
4 Cu 0.2274 0.5446 0.0009 (multiplicity 4)  4 O 1.95-2.03
5 P 0.0324 0.4412 0.6247 (multiplicity 4)  4 O 1.55-1.56
6 P 0.2147 0.0687 0.3754 (multiplicity 4)  4 O 1.55-1.56
7 O 0.0104 0.1283 0.6244 (multiplicity 4)  1 P 1.56
8 O 0.0323 0.4420 0.0325 (multiplicity 4)  1 P 1.55
9 O 0.0334 0.4406 0.2163 (multiplicity 4)  1 P 1.55
10 O 0.0579 0.0181 0.3743 (multiplicity 4)  1 P 1.56
11 O 0.1863 0.5123 0.6259 (multiplicity 4)  1 P 1.55
12 O 0.2252 0.9435 0.7829 (multiplicity 4)  1 P 1.55
13 O 0.2259 0.9426 0.9676 (multiplicity 4)  1 P 1.55
14 O 0.2467 0.3767 0.3758 (multiplicity 4)  1 P 1.55

Computed properties:
E_form: -211.0 kJ/mol of atoms
energy above the most stable polymorph in this dataset: 10 meV/atom

***

(6)
DFT (PBE) results for a relaxed structure of CdSiO3.

Lattice parameters (Å, degrees): 9.8523 9.7451 5.5200 90.00 90.00 90.00
Last column: nearest neighbours and their distance in Å.
Space group Pbcn (No. 60)
Asymmetric unit:
1 Cd 0.0000 0.1026 0.2500 (multiplicity 4)  6 O 2.25-2.41
2 Cd 0.0000 0.2777 0.7500 (multiplicity 4)  4 O 2.18-2.37
3 Si 0.2098 0.4167 0.0834 (multiplicity 8)  4 O 1.62-1.69
4 O 0.1246 0.0904 0.5911 (multiplicity 8)  1 Si 1.63
5 O 0.1316 0.2703 0.0682 (multiplicity 8)  1 Si 1.62
6 O 0.1582 0.4956 0.8268 (multiplicity 8)  2 Si 1.67-1.69

Computed properties:
E_form: -242.8 kJ/mol of atoms